No. 1
Entry from the Materials Project database: LiP2WO8 after structural relaxation (GGA+U).

abc: 5.0289 13.0266 11.1797
angles: 90.00 109.02 90.00
Atoms (fractional coordinates):
Li1 0.0898 0.1188 0.4707
Li2 0.0898 0.3812 0.9707
Li3 0.9102 0.6188 0.0293
Li4 0.9102 0.8812 0.5293
P1 0.3058 0.0853 0.1176
P2 0.3058 0.4147 0.6176
P3 0.4195 0.7462 0.7111
P4 0.4195 0.7538 0.2111
P5 0.5805 0.2462 0.7889
P6 0.5805 0.2538 0.2889
P7 0.6942 0.5853 0.3824
P8 0.6942 0.9147 0.8824
W1 0.0967 0.0742 0.7900
W2 0.0967 0.4258 0.2900
W3 0.9033 0.5742 0.7100
W4 0.9033 0.9258 0.2100
O1 0.0842 0.0641 0.6293
O2 0.0842 0.4359 0.1293
O3 0.1194 0.0933 0.9797
O4 0.1194 0.4067 0.4797
O5 0.1354 0.0573 0.2054
O6 0.1354 0.4427 0.7054
O7 0.2438 0.6776 0.1209
O8 0.2438 0.8224 0.6209
O9 0.2689 0.6561 0.7510
O10 0.2689 0.8439 0.2510
O11 0.3337 0.2057 0.8298
O12 0.3337 0.2943 0.3298
O13 0.4215 0.1997 0.1518
O14 0.4215 0.3003 0.6518
O15 0.4485 0.5128 0.3649
O16 0.4485 0.9872 0.8649
O17 0.5515 0.0128 0.1351
O18 0.5515 0.4872 0.6351
O19 0.5785 0.6997 0.3482
O20 0.5785 0.8003 0.8482
O21 0.6663 0.7057 0.6702
O22 0.6663 0.7943 0.1702
O23 0.7311 0.1561 0.7490
O24 0.7311 0.3439 0.2490
O25 0.7562 0.1776 0.3791
O26 0.7562 0.3224 0.8791
O27 0.8646 0.5573 0.2946
O28 0.8646 0.9427 0.7946
O29 0.8806 0.5933 0.5203
O30 0.8806 0.9067 0.0203
O31 0.9158 0.5641 0.8707
O32 0.9158 0.9359 0.3707

Values from the calculation:
energy above the lowest structure with this stoichiometry: 0.00 kcal/mol of atoms
E: -85.5 eV/f.u.
space group: No. 14
ρ: 3.65 Mg/m³

No. 2
Entry from the Materials Project database: LiP4WO12 after structural relaxation (GGA+U).

abc: 7.3714 7.3714 10.1624
angles: 113.58 113.58 70.48
Atoms (fractional coordinates):
Li1 0.0000 0.5000 0.0000
Li2 0.5000 0.0000 0.5000
P1 0.1887 0.2085 0.7009
P2 0.2085 0.1887 0.2009
P3 0.2207 0.7598 0.5228
P4 0.2402 0.7793 0.9772
P5 0.7598 0.2207 0.0228
P6 0.7793 0.2402 0.4772
P7 0.7915 0.8113 0.7991
P8 0.8113 0.7915 0.2991
W1 0.4430 0.5570 0.2500
W2 0.5570 0.4430 0.7500
O1 0.0054 0.2771 0.5618
O2 0.0310 0.8046 0.8454
O3 0.1505 0.3110 0.8478
O4 0.1954 0.9690 0.6546
O5 0.2120 0.6993 0.0826
O6 0.2209 0.3773 0.1814
O7 0.2771 0.0054 0.0618
O8 0.3007 0.7880 0.4174
O9 0.3110 0.1505 0.3478
O10 0.3353 0.5935 0.5910
O11 0.3773 0.2209 0.6814
O12 0.4065 0.6647 0.9090
O13 0.5935 0.3353 0.0910
O14 0.6227 0.7791 0.3186
O15 0.6647 0.4065 0.4090
O16 0.6890 0.8495 0.6522
O17 0.6993 0.2120 0.5826
O18 0.7229 0.9946 0.9382
O19 0.7791 0.6227 0.8186
O20 0.7880 0.3007 0.9174
O21 0.8046 0.0310 0.3454
O22 0.8495 0.6890 0.1522
O23 0.9690 0.1954 0.1546
O24 0.9946 0.7229 0.4382

Values from the calculation:
energy above the lowest structure with this stoichiometry: 0.20 kcal/mol of atoms
E: -128.8 eV/f.u.
space group: No. 15
ρ: 3.71 Mg/m³

No. 3
Entry from the Materials Project database: Li3P3WO11 after structural relaxation (GGA+U).

abc: 6.4130 8.1549 8.2270
angles: 109.12 96.17 99.47
Atoms (fractional coordinates):
Li1 0.0902 0.3213 0.4261
Li2 0.1158 0.4911 0.8244
Li3 0.2117 0.9739 0.9620
Li4 0.7883 0.0261 0.0380
Li5 0.8842 0.5089 0.1756
Li6 0.9098 0.6787 0.5739
P1 0.1212 0.9143 0.2882
P2 0.3596 0.3856 0.1403
P3 0.3822 0.7289 0.6188
P4 0.6178 0.2711 0.3812
P5 0.6404 0.6144 0.8597
P6 0.8788 0.0857 0.7118
W1 0.4060 0.1808 0.7252
W2 0.5940 0.8192 0.2748
O1 0.0434 0.0419 0.2053
O2 0.0742 0.2286 0.7064
O3 0.1397 0.4230 0.1269
O4 0.1863 0.5928 0.6175
O5 0.2470 0.0163 0.4745
O6 0.2734 0.8156 0.1737
O7 0.3775 0.9152 0.7451
O8 0.3843 0.2189 0.9887
O9 0.4008 0.3275 0.3104
O10 0.4149 0.7197 0.4375
O11 0.4453 0.4616 0.8316
O12 0.5547 0.5384 0.1684
O13 0.5851 0.2803 0.5625
O14 0.5992 0.6725 0.6896
O15 0.6157 0.7811 0.0113
O16 0.6225 0.0848 0.2549
O17 0.7266 0.1844 0.8263
O18 0.7530 0.9837 0.5255
O19 0.8137 0.4072 0.3825
O20 0.8603 0.5770 0.8731
O21 0.9258 0.7714 0.2936
O22 0.9566 0.9581 0.7947

Values from the calculation:
energy above the lowest structure with this stoichiometry: 0.00 kcal/mol of atoms
E: -123.4 eV/f.u.
space group: No. 2
ρ: 3.98 Mg/m³

No. 4
Entry from the Materials Project database: LiP5W3O19 after structural relaxation (GGA+U).

abc: 8.7777 8.7777 6.5569
angles: 98.80 98.80 113.76
Atoms (fractional coordinates):
Li1 0.0000 0.0000 0.0000
P1 0.0904 0.7176 0.4627
P2 0.2158 0.5122 0.1945
P3 0.5122 0.2158 0.1945
P4 0.5824 0.5824 0.7708
P5 0.7176 0.0904 0.4627
W1 0.1476 0.3992 0.6463
W2 0.3992 0.1476 0.6463
W3 0.6677 0.6677 0.3080
O1 0.0683 0.5894 0.6022
O2 0.1303 0.4283 0.9615
O3 0.1489 0.6556 0.2559
O4 0.1501 0.3746 0.3202
O5 0.2278 0.8924 0.5832
O6 0.2307 0.2307 0.6618
O7 0.3746 0.1501 0.3202
O8 0.4048 0.5812 0.7324
O9 0.4103 0.6116 0.2426
O10 0.4283 0.1303 0.9615
O11 0.5812 0.4048 0.7324
O12 0.5894 0.0683 0.6022
O13 0.6116 0.4103 0.2426
O14 0.6556 0.1489 0.2559
O15 0.6867 0.6867 0.0024
O16 0.6874 0.6874 0.6265
O17 0.7305 0.9272 0.3702
O18 0.8924 0.2278 0.5832
O19 0.9272 0.7305 0.3702

Values from the calculation:
E: -203.6 eV/f.u.
space group: No. 8
ρ: 3.81 Mg/m³

No. 5
Entry from the Materials Project database: Li2P4WO13 after structural relaxation (GGA+U).

abc: 5.1853 8.0588 13.6782
angles: 78.07 83.93 80.00
Atoms (fractional coordinates):
Li1 0.0694 0.3172 0.0106
Li2 0.3766 0.3286 0.4822
Li3 0.6234 0.6714 0.5178
Li4 0.9306 0.6828 0.9894
P1 0.0098 0.9036 0.1439
P2 0.1192 0.7953 0.6338
P3 0.3060 0.6619 0.3010
P4 0.3359 0.5718 0.8194
P5 0.6641 0.4282 0.1806
P6 0.6940 0.3381 0.6990
P7 0.8808 0.2047 0.3662
P8 0.9902 0.0964 0.8561
W1 0.4450 0.0532 0.2589
W2 0.5550 0.9468 0.7411
O1 0.0493 0.7512 0.2466
O2 0.0898 0.8209 0.0557
O3 0.1296 0.6462 0.7374
O4 0.1626 0.0445 0.1582
O5 0.1825 0.1437 0.3694
O6 0.1937 0.5240 0.9190
O7 0.2441 0.7149 0.5481
O8 0.2495 0.5195 0.3831
O9 0.2500 0.9410 0.6537
O10 0.2889 0.0319 0.8455
O11 0.4350 0.8020 0.3303
O12 0.4687 0.3026 0.1870
O13 0.4946 0.3996 0.7888
O14 0.5054 0.6004 0.2112
O15 0.5313 0.6974 0.8130
O16 0.5650 0.1980 0.6697
O17 0.7111 0.9681 0.1545
O18 0.7500 0.0590 0.3463
O19 0.7505 0.4805 0.6169
O20 0.7559 0.2851 0.4519
O21 0.8063 0.4760 0.0810
O22 0.8175 0.8563 0.6306
O23 0.8374 0.9555 0.8418
O24 0.8704 0.3538 0.2626
O25 0.9102 0.1791 0.9443
O26 0.9507 0.2488 0.7534

Values from the calculation:
E: -140.7 eV/f.u.
space group: No. 2
ρ: 3.20 Mg/m³

No. 6
Entry from the Materials Project database: Li3P3W2O12 after structural relaxation (GGA+U).

abc: 9.2683 9.2683 9.2683
angles: 55.94 55.94 55.94
Atoms (fractional coordinates):
Li1 0.1609 0.7641 0.4243
Li2 0.2359 0.5757 0.8391
Li3 0.4243 0.1609 0.7641
Li4 0.5757 0.8390 0.2359
Li5 0.7641 0.4243 0.1609
Li6 0.8391 0.2359 0.5757
P1 0.0443 0.4576 0.7503
P2 0.2497 0.9557 0.5424
P3 0.4576 0.7503 0.0443
P4 0.5424 0.2497 0.9557
P5 0.7503 0.0443 0.4576
P6 0.9557 0.5424 0.2497
W1 0.1533 0.1533 0.1533
W2 0.3557 0.3557 0.3557
W3 0.6443 0.6443 0.6443
W4 0.8467 0.8467 0.8467
O1 0.0018 0.3441 0.9634
O2 0.0366 0.9982 0.6559
O3 0.0511 0.6475 0.7039
O4 0.1000 0.5058 0.3071
O5 0.2453 0.3542 0.6376
O6 0.2961 0.9489 0.3525
O7 0.3071 0.1000 0.5058
O8 0.3441 0.9634 0.0018
O9 0.3525 0.2961 0.9489
O10 0.3542 0.6376 0.2453
O11 0.3624 0.7547 0.6458
O12 0.4942 0.6929 0.9000
O13 0.5058 0.3071 0.1000
O14 0.6376 0.2453 0.3542
O15 0.6458 0.3624 0.7547
O16 0.6475 0.7039 0.0511
O17 0.6559 0.0366 0.9982
O18 0.6929 0.9000 0.4942
O19 0.7039 0.0511 0.6475
O20 0.7547 0.6458 0.3624
O21 0.9000 0.4942 0.6929
O22 0.9489 0.3525 0.2961
O23 0.9634 0.0018 0.3441
O24 0.9982 0.6559 0.0366

Values from the calculation:
energy above the lowest structure with this stoichiometry: 0.00 kcal/mol of atoms
E: -140.1 eV/f.u.
space group: No. 148
ρ: 4.39 Mg/m³

No. 7
Entry from the Materials Project database: LiPWO5 after structural relaxation (GGA+U).

abc: 7.5412 6.6592 7.6136
angles: 90.00 90.00 90.00
Atoms (fractional coordinates):
Li1 0.0000 0.0000 0.0000
Li2 0.0000 0.5000 0.0000
Li3 0.5000 0.0000 0.5000
Li4 0.5000 0.5000 0.5000
P1 0.1250 0.2500 0.3700
P2 0.3750 0.7500 0.8700
P3 0.6250 0.2500 0.1300
P4 0.8750 0.7500 0.6300
W1 0.1445 0.7500 0.2705
W2 0.3555 0.2500 0.7705
W3 0.6445 0.7500 0.2295
W4 0.8555 0.2500 0.7295
O1 0.0479 0.7500 0.5242
O2 0.1003 0.2500 0.8245
O3 0.1307 0.0652 0.2462
O4 0.1307 0.4348 0.2462
O5 0.2070 0.7500 0.9909
O6 0.2930 0.2500 0.4909
O7 0.3693 0.5652 0.7462
O8 0.3693 0.9348 0.7462
O9 0.3997 0.7500 0.3245
O10 0.4521 0.2500 0.0242
O11 0.5479 0.7500 0.9758
O12 0.6003 0.2500 0.6755
O13 0.6307 0.0652 0.2538
O14 0.6307 0.4348 0.2538
O15 0.7070 0.7500 0.5091
O16 0.7930 0.2500 0.0091
O17 0.8693 0.5652 0.7538
O18 0.8693 0.9348 0.7538
O19 0.8997 0.7500 0.1755
O20 0.9521 0.2500 0.4758

Values from the calculation:
energy above the lowest structure with this stoichiometry: 1.41 kcal/mol of atoms
E: -56.4 eV/f.u.
space group: No. 62
ρ: 5.24 Mg/m³

No. 8
Entry from the Materials Project database: Li3P5W4O24 after structural relaxation (GGA+U).

abc: 9.5876 9.5876 15.3196
angles: 114.97 114.97 53.11
Atoms (fractional coordinates):
Li1 0.0138 0.9862 0.5000
Li2 0.3498 0.3797 0.8093
Li3 0.3797 0.3498 0.3093
Li4 0.7040 0.7372 0.7492
Li5 0.7372 0.7040 0.2492
Li6 0.9862 0.0138 0.0000
P1 0.1475 0.9384 0.2808
P2 0.2780 0.2939 0.0728
P3 0.2939 0.2780 0.5728
P4 0.3575 0.7092 0.6335
P5 0.3747 0.7282 0.9241
P6 0.7092 0.3575 0.1335
P7 0.7282 0.3747 0.4241
P8 0.7929 0.8076 0.4857
P9 0.8076 0.7929 0.9857
P10 0.9384 0.1475 0.7808
W1 0.0252 0.3873 0.3504
W2 0.0648 0.6942 0.7090
W3 0.2516 0.6369 0.0500
W4 0.3873 0.0252 0.8504
W5 0.4491 0.8367 0.5096
W6 0.6369 0.2516 0.5500
W7 0.6942 0.0648 0.2090
W8 0.8367 0.4491 0.0096
O1 0.1114 0.2810 0.0470
O2 0.1172 0.1346 0.8017
O3 0.1346 0.1172 0.3017
O4 0.1463 0.4049 0.2989
O5 0.1936 0.3694 0.4861
O6 0.2061 0.7054 0.6401
O7 0.2100 0.4144 0.6632
O8 0.2239 0.8168 0.1877
O9 0.2260 0.4927 0.1039
O10 0.2613 0.8083 0.0014
O11 0.2642 0.4927 0.9313
O12 0.2701 0.8511 0.3706
O13 0.2778 0.8124 0.5510
O14 0.2810 0.1114 0.5470
O15 0.2898 0.6402 0.8227
O16 0.3694 0.1936 0.9861
O17 0.3761 0.8795 0.9157
O18 0.4049 0.1463 0.7989
O19 0.4144 0.2100 0.1632
O20 0.4362 0.8033 0.7337
O21 0.4927 0.2260 0.6039
O22 0.4927 0.2642 0.4313
O23 0.5200 0.5207 0.6103
O24 0.5207 0.5200 0.1103
O25 0.5642 0.5723 0.9528
O26 0.5723 0.5642 0.4528
O27 0.5908 0.8228 0.6287
O28 0.5925 0.8678 0.4573
O29 0.6402 0.2898 0.3227
O30 0.6691 0.8744 0.8951
O31 0.6848 0.9385 0.2612
O32 0.7054 0.2061 0.1401
O33 0.7227 0.8904 0.0745
O34 0.8033 0.4362 0.2337
O35 0.8083 0.2613 0.5014
O36 0.8124 0.2778 0.0510
O37 0.8126 0.9709 0.5077
O38 0.8168 0.2239 0.6877
O39 0.8228 0.5908 0.1287
O40 0.8511 0.2701 0.8706
O41 0.8678 0.5925 0.9573
O42 0.8744 0.6691 0.3951
O43 0.8795 0.3761 0.4157
O44 0.8904 0.7227 0.5745
O45 0.9385 0.6848 0.7612
O46 0.9630 0.9668 0.2652
O47 0.9668 0.9630 0.7652
O48 0.9709 0.8126 0.0077

Values from the calculation:
E: -258.6 eV/f.u.
space group: No. 9
ρ: 4.33 Mg/m³